Entry 1:
VASP calculation (PBE) on crystalline Sm9Ni26P12 at its relaxed geometry.

Cell and atoms, written as extended XYZ:
```
47
Lattice="-4.100 13.647 -1.912 3.588 -8.083 -11.335 -3.682 -1.154 -0.342" Properties=species:S:1:pos:R:3 pbc="T T T"
Sm 1.034 -6.643 -10.632
Sm -2.720 3.084 -3.060
Sm -4.476 8.928 -3.879
Sm -2.939 5.467 -8.733
Sm 1.305 -1.069 -10.432
Sm -1.925 3.204 -12.011
Sm 1.445 -2.588 -6.814
Sm -1.555 -0.811 -2.452
Sm 0.325 1.138 -7.336
P 0.612 1.805 -12.674
P -0.357 3.989 -9.612
P -2.198 2.491 -6.671
P -1.099 -1.184 -6.098
P -0.106 -3.421 -9.235
P 2.590 -5.818 -8.238
P -0.127 1.493 -3.671
P -3.850 6.213 -1.450
P -4.086 8.775 -7.551
P -1.241 0.355 -9.764
P 2.451 -4.315 -11.816
P 0.981 -2.193 -3.154
Ni -1.825 8.178 -7.949
Ni -0.987 0.237 -12.095
Ni 0.219 -3.778 -11.533
Ni -2.277 7.878 -2.070
Ni -1.366 6.263 -6.423
Ni -3.686 7.107 -6.234
Ni -0.696 -2.923 -4.571
Ni 0.587 -0.481 -4.691
Ni -2.866 4.378 -5.852
Ni -0.810 5.807 -10.872
Ni -1.819 0.813 -5.094
Ni -1.585 5.573 -1.747
Ni -3.358 11.548 -2.822
Ni -0.598 4.094 -7.377
Ni -0.816 -1.417 -8.365
Ni -3.583 5.994 -3.586
Ni 0.000 0.000 0.000
Ni -1.280 5.333 -4.208
Ni 0.368 1.898 -10.354
Ni -1.966 7.615 -4.527
Ni 2.121 -3.936 -9.537
Ni -0.511 3.154 -5.140
Ni -1.970 2.450 -8.992
Ni -0.446 1.856 -1.464
Ni -2.431 9.543 -6.035
Ni 0.359 -5.301 -7.906
```

Entry 2:
VASP calculation (PBE) on crystalline SmNiP at its relaxed geometry.

Cell and atoms, written as extended XYZ:
```
12
Lattice="-1.972 -3.416 0.000 -1.972 3.416 0.000 0.000 0.000 -15.876" Properties=species:S:1:pos:R:3 pbc="T T T"
P -1.972 1.139 -5.954
P -1.972 -1.139 -13.891
P -1.972 -1.139 -9.922
P -1.972 1.139 -1.984
Ni -1.972 -1.139 -2.020
Ni -1.972 -1.139 -5.918
Ni -1.972 1.139 -9.957
Ni -1.972 1.139 -13.856
Sm 0.000 0.000 -3.969
Sm 0.000 0.000 -11.907
Sm 0.000 0.000 -7.938
Sm 0.000 0.000 0.000
```

Entry 3:
VASP calculation (PBE) on crystalline SmNi2P2 at its relaxed geometry.

Cell and atoms, written as extended XYZ:
```
5
Lattice="2.164 -2.950 4.092 3.326 2.448 3.616 -4.928 0.861 -2.260" Properties=species:S:1:pos:R:3 pbc="T T T"
Ni -0.009 -1.170 2.843
Ni 0.572 1.529 2.605
Sm 0.000 0.000 0.000
P 2.056 -0.188 2.887
P 3.434 -0.314 4.821
```

Entry 4:
VASP calculation (PBE) on crystalline Sm6Ni20P13 at its relaxed geometry.

Cell and atoms, written as extended XYZ:
```
39
Lattice="6.390 -11.068 0.000 6.390 11.068 0.000 0.000 0.000 3.816" Properties=species:S:1:pos:R:3 pbc="T T T"
P 7.991 5.302 0.000
P 6.986 1.497 0.000
P 8.589 -4.283 1.908
P 7.583 -8.018 1.908
P 0.000 0.000 0.000
P 9.543 -0.493 1.908
P 5.192 7.964 0.000
P 10.692 2.590 0.000
P 4.194 4.270 0.000
P 3.287 0.514 0.000
P 2.046 -2.558 1.908
P 5.804 -1.488 1.908
P 4.777 -5.297 1.908
Ni 10.321 -2.706 1.908
Ni 2.922 4.550 1.908
Ni 1.813 -1.149 0.000
Ni 7.437 7.550 0.000
Ni 9.847 -4.597 0.000
Ni 8.870 6.262 1.908
Ni 6.390 3.689 0.000
Ni 11.353 0.891 1.908
Ni 3.573 -0.777 1.908
Ni 5.277 -7.585 1.908
Ni 5.448 -0.242 0.000
Ni 7.379 0.255 1.908
Ni 1.485 0.791 1.908
Ni 10.879 -0.995 0.000
Ni 2.524 2.666 0.000
Ni 6.332 9.387 1.908
Ni 6.390 -3.689 1.908
Ni 6.479 -8.924 0.000
Ni 9.210 0.853 0.000
Ni 3.876 -6.229 0.000
Sm 8.593 3.114 1.908
Sm 5.788 5.884 1.908
Sm 4.791 2.070 1.908
Sm 4.192 -3.119 0.000
Sm 6.995 -5.878 0.000
Sm 7.983 -2.071 0.000
```

How do the records compare in E? In the order shown, they have -6.29 -6.48 -6.43 -6.39 eV/atom.
How do the records compare in calculated formation energy? In the order shown, they have -0.80 -1.18 -1.01 -0.89 eV/atom.
How do the records compare in density? In the order shown, they have 7.8 7.5 7.5 7.6 Mg/m³.